Record 1
Below is a relaxed structure of NaGdCl4, with properties calculated at the r²SCAN level.

Structure (POSCAR):
```
NaGdCl4
1.0
-3.702 4.840 -2.724
-6.199 -1.835 2.004
0.608 3.992 5.701
Gd Cl Na
2 8 2
direct
0.211 0.701 0.945
0.789 0.299 0.055
0.569 0.688 0.122
0.907 0.998 0.788
0.395 0.796 0.631
0.605 0.204 0.369
0.952 0.498 0.753
0.048 0.502 0.247
0.431 0.312 0.878
0.093 0.002 0.212
0.229 0.195 0.535
0.771 0.805 0.465
```

SG = P-1
DFT formation energy = -2.35 eV per atom
Volume = 310 Å³ per cell



Record 2
Below is a relaxed structure of Ba3SbI3, with properties calculated at the r²SCAN level.

Structure (POSCAR):
```
Ba3SbI3
1.0
-7.104 7.103 7.103
7.103 -7.103 7.103
7.103 7.102 -7.103
Ba Sb I
12 4 12
direct
0.244 0.487 0.494
0.006 0.013 0.256
0.487 0.494 0.244
0.244 0.256 0.750
0.013 0.256 0.006
0.750 0.244 0.256
0.494 0.244 0.487
0.750 0.006 0.494
0.494 0.750 0.006
0.256 0.750 0.244
0.006 0.494 0.750
0.256 0.006 0.013
0.250 0.250 0.250
0.000 0.250 0.500
0.250 0.500 0.000
0.500 0.000 0.250
0.499 0.499 0.749
0.001 0.001 0.751
0.749 0.499 0.499
0.250 0.749 0.751
0.001 0.499 0.250
0.001 0.751 0.001
0.499 0.250 0.001
0.751 0.001 0.001
0.749 0.751 0.250
0.499 0.749 0.499
0.250 0.001 0.499
0.751 0.250 0.749
```

SG = I4_132
DFT formation energy = -1.80 eV per atom
Volume = 1433 Å³ per cell



Record 3
Below is a relaxed structure of EuHCl, with properties calculated at the r²SCAN level.

Structure (POSCAR):
```
EuHCl
1.0
-3.919 0.541 -0.709
-0.839 -3.318 2.107
-0.521 3.798 5.773
Cl Eu H
2 2 2
direct
0.500 0.000 0.649
0.000 0.500 0.351
0.500 0.000 0.201
0.000 0.500 0.799
0.000 0.000 0.000
0.500 0.500 0.000
```

SG = P4/nmm
DFT formation energy = -1.74 eV per atom
Volume = 112 Å³ per cell



Record 4
Below is a relaxed structure of Ti3Nb, with properties calculated at the r²SCAN level.

Structure (POSCAR):
```
Ti3Nb
1.0
-2.501 -1.352 0.556
2.280 -1.345 1.175
-0.982 4.915 7.531
Ti Nb
3 1
direct
0.791 0.209 0.752
0.791 0.209 0.248
0.183 0.817 0.000
0.235 0.765 0.500
```

SG = Amm2
DFT formation energy = 0.07 eV per atom
Volume = 70 Å³ per cell



Record 5
Below is a relaxed structure of Be2Re, with properties calculated at the r²SCAN level.

Structure (POSCAR):
```
Be2Re
1.0
4.362 0.000 0.000
-2.181 3.777 0.000
0.000 0.000 7.123
Be Re
8 4
direct
0.662 0.831 0.750
0.831 0.662 0.250
0.000 0.000 0.500
0.338 0.169 0.250
0.831 0.169 0.250
0.000 0.000 0.000
0.169 0.831 0.750
0.169 0.338 0.750
0.667 0.333 0.561
0.667 0.333 0.939
0.333 0.667 0.061
0.333 0.667 0.439
```

SG = P6_3/mmc
DFT formation energy = -0.41 eV per atom
Volume = 117 Å³ per cell



Record 6
Below is a relaxed structure of Ho7Co6Sn23, with properties calculated at the r²SCAN level.

Structure (POSCAR):
```
Ho7Co6Sn23
1.0
2.470 5.063 -7.838
-7.667 2.643 5.234
5.753 5.746 5.525
Ho Sn Co
7 23 6
direct
0.521 0.043 0.693
0.479 0.521 0.307
0.479 0.957 0.307
0.000 0.000 0.000
0.521 0.479 0.693
0.043 0.521 0.307
0.957 0.479 0.693
0.333 0.667 0.116
0.766 0.883 0.275
0.000 0.653 0.000
0.234 0.117 0.725
0.117 0.234 0.275
0.781 0.561 0.451
0.781 0.219 0.451
0.883 0.117 0.725
0.561 0.781 0.549
0.219 0.781 0.549
0.347 0.347 0.000
0.000 0.000 0.500
0.653 0.000 0.000
0.439 0.219 0.451
0.667 0.333 0.180
0.219 0.439 0.549
0.667 0.333 0.884
0.117 0.883 0.275
0.347 0.000 0.000
0.653 0.653 0.000
0.333 0.667 0.820
0.000 0.347 0.000
0.883 0.766 0.725
0.335 0.167 0.197
0.665 0.833 0.803
0.833 0.167 0.197
0.167 0.833 0.803
0.833 0.665 0.197
0.167 0.335 0.803
```

SG = P-3m1
DFT formation energy = -0.36 eV per atom
Volume = 793 Å³ per cell



Record 7
Below is a relaxed structure of Ba3Yb4O9, with properties calculated at the r²SCAN level.

Structure (POSCAR):
```
Ba3Yb4O9
1.0
8.479 -3.001 0.069
8.479 3.001 0.069
7.376 0.000 5.149
Ba O Yb
3 9 4
direct
0.012 0.012 0.012
0.174 0.174 0.174
0.591 0.591 0.591
0.684 0.628 0.138
0.053 0.134 0.592
0.138 0.684 0.628
0.050 0.573 0.489
0.628 0.138 0.684
0.592 0.053 0.134
0.134 0.592 0.053
0.573 0.489 0.050
0.489 0.050 0.573
0.311 0.311 0.311
0.436 0.436 0.436
0.875 0.875 0.875
0.750 0.750 0.750
```

SG = R3
DFT formation energy = -3.57 eV per atom
Volume = 259 Å³ per cell



Record 8
Below is a relaxed structure of Cs3K, with properties calculated at the r²SCAN level.

Structure (POSCAR):
```
Cs3K
1.0
5.393 -9.341 0.000
5.393 9.341 0.000
0.000 0.000 8.706
K Cs
2 6
direct
0.667 0.333 0.250
0.333 0.667 0.750
0.830 0.661 0.750
0.661 0.830 0.250
0.339 0.170 0.750
0.830 0.170 0.750
0.170 0.830 0.250
0.170 0.339 0.250
```

SG = P6_3/mmc
DFT formation energy = 0.00 eV per atom
Volume = 877 Å³ per cell



Record 9
Below is a relaxed structure of NdBPt4, with properties calculated at the r²SCAN level.

Structure (POSCAR):
```
NdBPt4
1.0
-2.182 3.115 -3.911
-2.660 -4.424 1.765
-3.520 4.251 5.349
Pt B Nd
8 2 2
direct
0.000 0.500 0.200
0.500 0.500 0.800
0.500 0.000 0.200
0.333 0.667 0.500
0.000 0.500 0.800
0.500 0.500 0.200
0.667 0.333 0.500
0.500 0.000 0.800
0.667 0.333 0.000
0.333 0.667 0.000
0.000 0.000 0.000
0.000 0.000 0.500
```

SG = P6/mmm
DFT formation energy = -0.87 eV per atom
Volume = 198 Å³ per cell



Record 10
Below is a relaxed structure of MnOF, with properties calculated at the r²SCAN level.

Structure (POSCAR):
```
MnOF
1.0
4.571 -0.017 0.003
0.095 7.482 0.004
0.183 0.681 7.499
F Mn O
8 8 8
direct
0.721 0.138 0.235
0.742 0.900 0.969
0.792 0.418 0.484
0.713 0.268 0.857
0.260 0.850 0.748
0.718 0.487 0.104
0.301 0.962 0.405
0.292 0.606 0.517
0.569 0.804 0.551
0.484 0.690 0.943
0.435 0.294 0.057
0.485 0.209 0.468
0.991 0.061 0.791
0.012 0.463 0.711
0.014 0.943 0.195
0.032 0.556 0.290
0.265 0.342 0.275
0.206 0.244 0.658
0.810 0.764 0.348
0.731 0.024 0.600
0.738 0.657 0.735
0.199 0.101 0.013
0.253 0.484 0.909
0.236 0.734 0.138
```

SG = P1
DFT formation energy = -2.44 eV per atom
Volume = 256 Å³ per cell



Record 11
Below is a relaxed structure of Er2Te3, with properties calculated at the r²SCAN level.

Structure (POSCAR):
```
Er2Te3
1.0
7.359 0.009 -1.371
-2.779 6.814 -1.371
-0.004 -0.007 13.669
Te Er
12 8
direct
0.125 0.375 0.250
0.795 0.044 0.585
0.375 0.125 0.750
0.875 0.625 0.750
0.625 0.875 0.250
0.956 0.205 0.915
0.205 0.956 0.415
0.541 0.289 0.085
0.459 0.711 0.915
0.044 0.795 0.085
0.711 0.459 0.415
0.289 0.541 0.585
0.958 0.208 0.416
0.376 0.126 0.251
0.042 0.792 0.584
0.126 0.376 0.751
0.208 0.958 0.916
0.624 0.874 0.749
0.792 0.042 0.084
0.874 0.624 0.249
```

DFT formation energy = -1.64 eV per atom
Volume = 686 Å³ per cell



Record 12
Below is a relaxed structure of PdI2, with properties calculated at the r²SCAN level.

Structure (POSCAR):
```
PdI2
1.0
-3.897 4.349 3.724
-4.566 -4.355 -3.069
0.534 -5.390 6.853
I Pd
8 4
direct
0.448 0.248 0.831
0.552 0.252 0.331
0.984 0.725 0.916
0.552 0.752 0.169
0.016 0.775 0.416
0.448 0.748 0.669
0.016 0.275 0.084
0.984 0.225 0.584
0.770 0.997 0.371
0.770 0.497 0.129
0.230 0.503 0.871
0.230 0.003 0.629
```

SG = P2_1/c
DFT formation energy = -0.30 eV per atom
Volume = 410 Å³ per cell



Record 13
Below is a relaxed structure of SiO2, with properties calculated at the r²SCAN level.

Structure (POSCAR):
```
SiO2
1.0
5.061 0.000 0.000
-2.531 4.383 0.000
0.000 0.000 5.541
Si O
3 6
direct
0.500 0.000 0.000
0.500 0.500 0.333
0.000 0.500 0.667
0.791 0.583 0.500
0.583 0.791 0.167
0.209 0.417 0.500
0.791 0.209 0.833
0.417 0.209 0.167
0.209 0.791 0.833
```

SG = P6_222
DFT formation energy = -3.03 eV per atom
Volume = 123 Å³ per cell



Record 14
Below is a relaxed structure of EuGa3Cu, with properties calculated at the r²SCAN level.

Structure (POSCAR):
```
EuGa3Cu
1.0
1.929 -5.638 1.255
2.529 -1.389 5.363
-4.909 2.838 -2.220
Ga Cu Eu
3 1 1
direct
0.382 0.382 0.000
0.750 0.250 0.500
0.618 0.618 0.000
0.250 0.750 0.500
0.000 0.000 0.000
```

SG = I-4m2
DFT formation energy = -0.48 eV per atom
Volume = 94 Å³ per cell



Record 15
Below is a relaxed structure of CaPbI4, with properties calculated at the r²SCAN level.

Structure (POSCAR):
```
CaPbI4
1.0
2.284 8.324 0.095
-2.284 8.324 0.095
0.000 3.766 7.040
Pb I Ca
1 4 1
direct
0.000 0.000 0.000
0.122 0.122 0.537
0.375 0.375 0.949
0.625 0.625 0.051
0.878 0.878 0.463
0.500 0.500 0.500
```

SG = C2/m
DFT formation energy = -1.31 eV per atom
Volume = 266 Å³ per cell



Record 16
Below is a relaxed structure of Sm2S3, with properties calculated at the r²SCAN level.

Structure (POSCAR):
```
Sm2S3
1.0
-1.804 -2.020 -2.928
5.807 -4.626 -0.387
-6.661 -9.237 10.477
S Sm
12 8
direct
0.250 0.648 0.719
0.750 0.490 0.891
0.250 0.875 0.933
0.750 0.352 0.281
0.250 0.510 0.109
0.750 0.852 0.219
0.250 0.148 0.781
0.750 0.125 0.067
0.750 0.990 0.609
0.250 0.375 0.567
0.250 0.010 0.391
0.750 0.625 0.433
0.250 0.143 0.204
0.250 0.765 0.544
0.750 0.735 0.044
0.250 0.265 0.956
0.250 0.643 0.296
0.750 0.857 0.796
0.750 0.357 0.704
0.750 0.235 0.456
```

SG = Pnma
DFT formation energy = -2.38 eV per atom
Volume = 459 Å³ per cell



Record 17
Below is a relaxed structure of Ca2In, with properties calculated at the r²SCAN level.

Structure (POSCAR):
```
Ca2In
1.0
-0.631 1.912 4.973
-3.416 -6.109 1.916
8.692 -4.028 2.652
In Ca
4 8
direct
0.750 0.774 0.611
0.250 0.726 0.111
0.250 0.226 0.389
0.750 0.274 0.889
0.250 0.534 0.799
0.750 0.966 0.299
0.250 0.673 0.434
0.750 0.827 0.934
0.750 0.466 0.201
0.250 0.173 0.066
0.750 0.327 0.566
0.250 0.034 0.701
```

SG = Pnma
DFT formation energy = -0.46 eV per atom
Volume = 387 Å³ per cell



Record 18
Below is a relaxed structure of TbCd2, with properties calculated at the r²SCAN level.

Structure (POSCAR):
```
TbCd2
1.0
-0.003 4.915 0.350
-1.476 -2.743 3.819
3.260 -0.083 1.200
Cd Tb
2 1
direct
0.333 0.667 0.500
0.667 0.333 0.500
0.000 0.000 0.000
```

SG = P6/mmm
DFT formation energy = -0.38 eV per atom
Volume = 73 Å³ per cell



Record 19
Below is a relaxed structure of CaIn4Pd, with properties calculated at the r²SCAN level.

Structure (POSCAR):
```
CaIn4Pd
1.0
-3.187 6.048 -5.341
0.413 -3.579 7.892
5.720 4.588 1.781
Pd In Ca
2 8 2
direct
0.774 0.226 0.750
0.226 0.774 0.250
0.317 0.683 0.549
0.934 0.066 0.750
0.066 0.934 0.250
0.317 0.683 0.951
0.500 0.500 0.000
0.683 0.317 0.451
0.683 0.317 0.049
0.500 0.500 0.500
0.872 0.128 0.250
0.128 0.872 0.750
```

SG = Cmcm
DFT formation energy = -0.53 eV per atom
Volume = 285 Å³ per cell